(1)
Below is an optimized crystal structure of SrSiPt, with properties calculated at the r²SCAN level.

The calculation puts the total energy at -26.226 eV per atom. Its size of the total moment is 0.00 μB/f.u.

Unit cell a=6.513 b=6.513 c=6.513 alpha=90.00 beta=90.00 gamma=90.00
Element x y z (fractional)
Sr  0.132  0.132  0.132
Sr  0.368  0.868  0.632
Sr  0.632  0.368  0.868
Sr  0.868  0.632  0.368
Si  0.159  0.341  0.659
Si  0.341  0.659  0.159
Si  0.659  0.159  0.341
Si  0.841  0.841  0.841
Pt  0.088  0.588  0.912
Pt  0.412  0.412  0.412
Pt  0.588  0.912  0.088
Pt  0.912  0.088  0.588

***

(2)
Below is an optimized crystal structure of Li2IrO3, with properties calculated at the r²SCAN level.

The calculation puts the total energy at -14.065 eV per atom. Its size of the total moment is 0.60 μB/f.u.

Unit cell a=5.129 b=5.129 c=24.198 alpha=92.11 beta=92.11 gamma=121.70
Element x y z (fractional)
Li  0.000  0.000  0.000
Li  0.058  0.739  0.200
Li  0.101  0.101  0.300
Li  0.124  0.451  0.400
Li  0.187  0.192  0.600
Li  0.261  0.942  0.800
Li  0.300  0.300  0.900
Li  0.341  0.659  0.000
Li  0.397  0.399  0.200
Li  0.468  0.131  0.400
Li  0.549  0.876  0.600
Li  0.601  0.603  0.800
Li  0.659  0.341  0.000
Li  0.700  0.700  0.100
Li  0.739  0.058  0.200
Li  0.808  0.813  0.400
Li  0.834  0.166  0.500
Li  0.869  0.532  0.600
Li  0.899  0.899  0.700
Li  0.942  0.261  0.800
Ir  0.030  0.370  0.100
Ir  0.164  0.836  0.500
Ir  0.232  0.571  0.700
Ir  0.370  0.030  0.100
Ir  0.429  0.768  0.300
Ir  0.503  0.497  0.500
Ir  0.570  0.230  0.700
Ir  0.630  0.970  0.900
Ir  0.770  0.430  0.300
Ir  0.970  0.630  0.900
O  0.022  0.684  0.051
O  0.060  0.060  0.146
O  0.084  0.420  0.251
O  0.116  0.777  0.349
O  0.156  0.151  0.451
O  0.195  0.528  0.546
O  0.223  0.884  0.651
O  0.260  0.260  0.746
O  0.285  0.622  0.851
O  0.316  0.978  0.949
O  0.340  0.340  0.054
O  0.378  0.715  0.149
O  0.421  0.085  0.251
O  0.462  0.462  0.346
O  0.472  0.805  0.454
O  0.512  0.182  0.549
O  0.538  0.538  0.654
O  0.580  0.916  0.749
O  0.622  0.284  0.851
O  0.660  0.660  0.946
O  0.684  0.022  0.051
O  0.716  0.378  0.149
O  0.740  0.740  0.254
O  0.777  0.114  0.349
O  0.818  0.488  0.451
O  0.849  0.844  0.549
O  0.886  0.223  0.651
O  0.915  0.579  0.749
O  0.940  0.940  0.854
O  0.978  0.316  0.949

***

(3)
Below is an optimized crystal structure of KPu2F9, with properties calculated at the r²SCAN level.

The calculation puts the total energy at -21.087 eV per atom. Its size of the total moment is 8.00 μB/f.u.

Unit cell a=8.661 b=11.382 c=6.857 alpha=90.00 beta=90.00 gamma=90.00
Element x y z (fractional)
K  0.030  0.250  0.131
K  0.470  0.750  0.631
K  0.530  0.250  0.369
K  0.970  0.750  0.869
Pu  0.170  0.050  0.654
Pu  0.170  0.450  0.654
Pu  0.330  0.550  0.154
Pu  0.330  0.950  0.154
Pu  0.670  0.050  0.846
Pu  0.670  0.450  0.846
Pu  0.830  0.550  0.346
Pu  0.830  0.950  0.346
F  0.006  0.601  0.578
F  0.006  0.899  0.578
F  0.066  0.577  0.195
F  0.066  0.923  0.195
F  0.178  0.250  0.669
F  0.212  0.096  0.973
F  0.212  0.404  0.973
F  0.218  0.607  0.857
F  0.218  0.893  0.857
F  0.282  0.107  0.357
F  0.282  0.393  0.357
F  0.288  0.596  0.473
F  0.288  0.904  0.473
F  0.322  0.750  0.169
F  0.434  0.077  0.695
F  0.434  0.423  0.695
F  0.494  0.101  0.078
F  0.494  0.399  0.078
F  0.506  0.601  0.922
F  0.506  0.899  0.922
F  0.566  0.577  0.305
F  0.566  0.923  0.305
F  0.678  0.250  0.831
F  0.712  0.096  0.527
F  0.712  0.404  0.527
F  0.718  0.607  0.643
F  0.718  0.893  0.643
F  0.782  0.107  0.143
F  0.782  0.393  0.143
F  0.788  0.596  0.027
F  0.788  0.904  0.027
F  0.822  0.750  0.331
F  0.934  0.077  0.805
F  0.934  0.423  0.805
F  0.994  0.101  0.422
F  0.994  0.399  0.422